Compound: CaEuZrCrO6
Source: the Materials Project
Functional: PBE+U
Structure: relaxed

Structure (extended XYZ):
```
10
Lattice="0.0000 4.0097 4.0097 4.0097 0.0000 4.0097 4.0097 4.0097 0.0000" Properties=species:S:1:pos:R:3 pbc="T T T"
Ca 0.0000 0.0000 0.0000
Eu 4.0097 4.0097 4.0097
Zr 2.0049 2.0049 2.0049
Cr 6.0146 6.0146 6.0146
O 6.0146 6.0146 4.0727
O 6.0146 4.0727 6.0146
O 7.9565 6.0146 6.0146
O 4.0727 6.0146 6.0146
O 6.0146 7.9565 6.0146
O 6.0146 6.0146 7.9565
```

Output
Its space group is F-43m, No. 216.


Compound: Ca3CrF6
Source: the Materials Project
Functional: PBE+U
Structure: relaxed

Structure (extended XYZ):
```
10
Lattice="6.7290 0.0000 0.0000 -2.3961 6.6891 0.0000 -1.0263 -3.1730 6.4319" Properties=species:S:1:pos:R:3 pbc="T T T"
Ca 0.0000 0.0000 0.0000
Ca -0.5132 -1.5865 3.2160
Ca 2.1664 3.3446 0.0000
Cr 2.8513 -1.5865 3.2160
F 0.8134 -0.3692 1.9339
F -1.1284 3.9286 3.6314
F 0.9218 4.0431 1.5655
F 2.3848 -0.5269 4.8665
F 4.4349 -0.4124 2.8006
F 2.4931 3.8853 4.4980
```

Output
Its space group is P-1, No. 2.


Compound: CaCrF4
Source: the Materials Project
Functional: PBE+U
Structure: relaxed

Structure (extended XYZ):
```
12
Lattice="-2.7477 2.7477 5.3875 2.7477 -2.7477 5.3875 2.7477 2.7477 -5.3875" Properties=species:S:1:pos:R:3 pbc="T T T"
Ca 0.0000 0.0000 2.6937
Ca 0.0000 0.0000 8.0812
Cr 2.7477 0.0000 0.0000
Cr 0.0000 2.7477 0.0000
F 3.7935 1.0458 -1.3804
F 1.0458 1.7020 -1.3804
F 3.7935 1.0458 1.3804
F 1.0458 1.7020 1.3804
F 1.7020 1.0458 4.0071
F -1.0458 1.7020 4.0071
F 1.7020 1.0458 6.7678
F -1.0458 1.7020 6.7678
```

Output
Its space group is I4/mcm, No. 140.


Compound: CaCr3F6
Source: the Materials Project
Functional: PBE+U
Structure: relaxed

Structure (extended XYZ):
```
10
Lattice="6.5073 0.0000 0.0000 -1.1153 6.5302 0.0000 -2.8019 -0.7661 6.7749" Properties=species:S:1:pos:R:3 pbc="T T T"
Ca 0.0000 0.0000 0.0000
Cr -0.5576 3.2651 0.0000
Cr 1.8527 -0.3830 3.3875
Cr 2.6960 3.2651 0.0000
F -1.7692 1.3544 6.2911
F -2.2887 4.1378 6.6246
F 0.7101 0.4839 2.0310
F 1.8801 5.2802 4.7439
F 4.8788 1.6264 0.1503
F 4.3594 4.4098 0.4839
```

Output
For the relative energy among the computed polymorphs, the calculation gives 0.000 eV/atom. Its space group is P-1, No. 2.


Compound: CaCr3F6
Source: the Materials Project
Functional: PBE+U
Structure: relaxed

Structure (extended XYZ):
```
10
Lattice="6.4312 0.0000 0.0000 2.6342 5.9223 0.0000 2.7377 0.7075 6.0888" Properties=species:S:1:pos:R:3 pbc="T T T"
Ca 0.0000 0.0000 0.0000
Cr 1.3171 2.9612 0.0000
Cr 4.5845 0.3538 3.0444
Cr 4.5327 2.9612 0.0000
F 2.8763 3.8044 0.9891
F 1.9410 1.1225 0.2687
F 6.2132 5.2887 4.4571
F 5.5900 1.3412 1.6317
F 9.8622 5.5073 5.8201
F 8.9268 2.8255 5.0997
```

Output
For the relative energy among the computed polymorphs, the calculation gives 0.020 eV/atom. Its space group is P-1, No. 2.


Compound: CaLaCrFeO6
Source: the Materials Project
Functional: PBE+U
Structure: relaxed

Structure (extended XYZ):
```
20
Lattice="5.5065 0.0000 0.0000 0.0000 5.5293 0.0000 -5.4726 0.0000 7.7105" Properties=species:S:1:pos:R:3 pbc="T T T"
Ca 0.0000 1.1750 0.0000
Ca -2.7363 4.3543 3.8553
La 0.1274 1.5395 3.8698
La 2.8637 3.9898 0.0145
Cr -2.6637 1.3796 5.7941
Cr 0.0726 4.1497 1.9389
Fe 2.8276 1.3839 1.9300
Fe 0.0914 4.1454 5.7853
O -1.0762 2.6207 1.6036
O -3.8125 2.9086 5.4588
O -2.2716 1.2877 3.9057
O 0.4646 4.2415 0.0504
O -3.1014 1.4573 7.6605
O -0.3651 4.0719 3.8053
O 1.2481 0.1257 2.2286
O -1.4881 5.4035 6.0838
O -1.1025 2.5778 6.1270
O 1.6338 2.9514 2.2718
O 1.3035 0.1631 5.4645
O 4.0398 5.3662 1.6093
```

Output
Its space group is Pc, No. 7.


Compound: Ca3Cr2Ge3O12
Source: the Materials Project
Functional: PBE+U
Structure: relaxed

Structure (extended XYZ):
```
80
Lattice="-6.2329 6.2329 6.2329 6.2329 -6.2329 6.2329 6.2329 6.2329 -6.2329" Properties=species:S:1:pos:R:3 pbc="T T T"
Ca 3.1165 1.5582 0.0000
Ca 6.2329 3.1165 -1.5582
Ca 1.5582 0.0000 3.1165
Ca 7.7912 0.0000 3.1165
Ca 0.0000 3.1165 1.5582
Ca 3.1165 -1.5582 6.2329
Ca 3.1165 7.7912 0.0000
Ca 6.2329 3.1165 4.6747
Ca -1.5582 6.2329 3.1165
Ca 4.6747 6.2329 3.1165
Ca 0.0000 3.1165 7.7912
Ca 3.1165 4.6747 6.2329
Cr 0.0000 0.0000 0.0000
Cr 3.1165 3.1165 -3.1165
Cr 3.1165 -3.1165 3.1165
Cr 6.2329 0.0000 0.0000
Cr -3.1165 3.1165 3.1165
Cr 0.0000 6.2329 0.0000
Cr 0.0000 0.0000 6.2329
Cr 3.1165 3.1165 3.1165
Ge 9.3494 1.5582 0.0000
Ge 6.2329 -3.1165 4.6747
Ge 4.6747 6.2329 -3.1165
Ge 4.6747 0.0000 3.1165
Ge 3.1165 4.6747 0.0000
Ge 6.2329 3.1165 1.5582
Ge 0.0000 3.1165 4.6747
Ge 3.1165 1.5582 6.2329
Ge 1.5582 6.2329 3.1165
Ge 1.5582 0.0000 9.3494
Ge 0.0000 9.3494 1.5582
Ge -3.1165 4.6747 6.2329
O 1.8895 -0.4139 0.6177
O 7.4599 3.7341 -3.5304
O 8.1224 0.4139 0.6177
O 7.4599 -2.4988 3.5304
O 5.8190 -0.6177 1.8895
O 9.7633 -1.2270 2.4988
O 0.6177 1.8895 -0.4139
O 8.7317 2.7026 -1.2270
O 3.7341 3.5304 -1.2270
O 5.6153 1.8895 0.4139
O -0.4139 0.6177 1.8895
O 3.5304 -1.2270 3.7341
O 5.8190 5.6153 -1.8895
O 3.5304 1.2270 2.4988
O 3.7341 -3.5304 7.4599
O 5.6153 -1.8895 5.8190
O 2.4988 3.5304 1.2270
O 6.8506 4.3434 0.4139
O 3.5304 7.4599 -2.4988
O 5.8190 0.6177 4.3434
O 1.8895 5.8190 -0.6177
O 7.4599 2.4988 2.7026
O 1.2270 2.4988 3.5304
O 1.8895 0.4139 5.6153
O 4.3434 5.8190 0.6177
O 5.0060 3.7341 2.7026
O -1.2270 3.7341 3.5304
O 4.3434 0.4139 6.8506
O 0.4139 5.6153 1.8895
O 2.7026 -1.2270 8.7317
O -0.6177 1.8895 5.8190
O 3.7341 2.7026 5.0060
O 0.6177 8.1224 0.4139
O 2.4988 9.7633 -1.2270
O 2.7026 5.0060 3.7341
O 0.4139 0.6177 8.1224
O 2.7026 7.4599 2.4988
O 6.6468 5.6153 4.3434
O 0.6177 4.3434 5.8190
O 2.4988 2.7026 7.4599
O -2.4988 3.5304 7.4599
O 5.6153 4.3434 6.6468
O -3.5304 7.4599 3.7341
O 0.4139 6.8506 4.3434
O -1.2270 8.7317 2.7026
O -1.8895 5.8190 5.6153
O -1.2270 2.4988 9.7633
O 4.3434 6.6468 5.6153
```

Output
Its space group is Ia-3d, No. 230.


Compound: CaNdHfCrO6
Source: the Materials Project
Functional: PBE+U
Structure: relaxed

Structure (extended XYZ):
```
10
Lattice="0.0000 3.9904 3.9904 3.9904 0.0000 3.9904 3.9904 3.9904 0.0000" Properties=species:S:1:pos:R:3 pbc="T T T"
Ca 0.0000 0.0000 0.0000
Nd 3.9904 3.9904 3.9904
Hf 1.9952 1.9952 1.9952
Cr 5.9856 5.9856 5.9856
O 5.9856 5.9856 4.0253
O 5.9856 4.0253 5.9856
O 7.9459 5.9856 5.9856
O 4.0253 5.9856 5.9856
O 5.9856 7.9459 5.9856
O 5.9856 5.9856 7.9459
```

Output
Its space group is F-43m, No. 216.


Compound: CaCr4Hg2O8
Source: the Materials Project
Functional: PBE+U
Structure: relaxed

Structure (extended XYZ):
```
15
Lattice="3.1154 1.7987 5.7671 -3.1154 1.7987 5.7671 0.0000 -3.5974 5.7671" Properties=species:S:1:pos:R:3 pbc="T T T"
Ca 0.0000 0.0000 0.0000
Cr -1.5577 -0.8994 5.7671
Cr -1.5577 0.8993 11.5341
Cr 0.0000 1.7987 5.7671
Cr 0.0000 0.0000 8.6506
Hg 0.0000 0.0000 2.7636
Hg 0.0000 0.0000 14.5376
O 0.0000 -1.5700 7.0025
O -1.3596 0.7850 7.0025
O 0.0000 0.0000 4.9138
O -1.3596 -0.7850 10.2987
O 1.3596 0.7850 7.0025
O 0.0000 0.0000 12.3874
O 1.3596 -0.7850 10.2987
O 0.0000 1.5700 10.2987
```

Output
Its space group is R-3m, No. 166.


Compound: CaHoCr2O6
Source: the Materials Project
Functional: PBE+U
Structure: relaxed

Structure (extended XYZ):
```
20
Lattice="7.5834 0.0000 0.0000 0.0000 5.5343 0.0000 0.0000 0.0000 5.3036" Properties=species:S:1:pos:R:3 pbc="T T T"
Ca 0.0000 1.0947 0.0000
Ca 3.7917 4.4396 2.6518
Ho 0.0000 3.7814 2.8212
Ho 3.7917 1.7529 0.1694
Cr 1.8956 1.3620 2.7218
Cr 1.8961 4.1723 0.0700
Cr 5.6879 1.3620 2.7218
Cr 5.6873 4.1723 0.0700
O 0.0000 1.5782 2.2429
O 0.0000 4.3143 0.6352
O 1.4906 5.2191 3.7774
O 1.5111 2.5571 4.2986
O 2.2806 2.9772 1.6468
O 2.3011 0.3152 1.1257
O 3.7917 1.2200 3.2870
O 3.7917 3.9561 4.8947
O 5.2823 0.3152 1.1257
O 5.3028 2.9772 1.6468
O 6.0723 2.5571 4.2986
O 6.0928 5.2191 3.7774
```

Output
Its space group is Pmn2_1, No. 31.


Compound: Ca2CrIrO6
Source: the Materials Project
Functional: PBE+U
Structure: relaxed

Structure (extended XYZ):
```
20
Lattice="5.3860 0.0000 0.0000 0.0000 5.5625 0.0000 -5.3783 0.0000 7.7135" Properties=species:S:1:pos:R:3 pbc="T T T"
Ca -0.0713 0.3030 1.9332
Ca -2.7604 2.4782 5.7900
Ca 2.7681 3.0843 1.9236
Ca 0.0789 5.2595 5.7803
Cr 2.6930 0.0000 0.0000
Cr 0.0038 2.7812 3.8568
Ir -2.6891 0.0000 3.8568
Ir 0.0000 2.7812 0.0000
O -4.3169 1.1324 7.3501
O -1.6278 1.6488 3.4933
O -3.7752 3.9004 7.3445
O -1.0861 4.4433 3.4877
O -2.1905 0.1516 5.7742
O 0.4986 2.6296 1.9174
O -0.4910 2.9329 5.7961
O 2.1982 5.4108 1.9394
O 1.0938 1.1192 4.2258
O 3.7829 1.6621 0.3691
O 1.6354 3.9136 4.2202
O 4.3246 4.4301 0.3634
```

Output
Its space group is P2_1/c, No. 14.


Compound: Ca6La2Mn7CrO24
Source: the Materials Project
Functional: PBE+U
Structure: relaxed

Structure (extended XYZ):
```
40
Lattice="7.6526 0.0000 0.0000 0.0167 7.6900 0.0000 0.0212 0.0301 7.6984" Properties=species:S:1:pos:R:3 pbc="T T T"
Ca 1.9148 1.7496 1.8148
Ca 1.9236 1.8457 5.6006
Ca 1.9306 5.6919 1.7742
Ca 5.7599 2.0282 5.9242
Ca 5.7669 5.8744 2.0978
Ca 5.7757 5.9706 5.8836
La 1.9352 5.6739 5.7014
La 5.7553 2.0463 1.9970
Mn 0.0000 0.0000 0.0000
Mn 0.0106 0.0151 3.8492
Mn 0.0084 3.8450 0.0000
Mn 3.8263 0.0000 0.0000
Mn 3.8369 0.0151 3.8492
Mn 3.8347 3.8450 0.0000
Mn 3.8453 3.8601 3.8492
Cr 0.0189 3.8601 3.8492
O 0.3029 5.8001 7.4777
O 0.3206 7.4629 1.9200
O 0.3184 1.9000 3.5698
O 0.3878 3.6381 5.8165
O 1.9331 0.3216 7.4118
O 1.9266 3.6585 0.4004
O 1.9456 7.4826 4.1688
O 1.9738 4.2587 3.6063
O 3.4885 3.6453 5.7775
O 3.5164 1.9385 3.5827
O 3.5483 7.4832 1.9261
O 3.5884 5.7948 7.4897
O 4.1021 1.9253 0.2087
O 4.1422 0.2369 5.7723
O 4.1741 5.7817 4.1157
O 4.2021 4.0749 1.9209
O 5.7167 3.4615 4.0921
O 5.7449 0.2376 3.5296
O 5.7639 4.0617 7.2980
O 5.7574 7.3986 0.2866
O 7.3028 4.0820 1.8819
O 7.3721 5.8201 4.1285
O 7.3699 0.2573 5.7784
O 7.3876 1.9200 0.2207
```

Output
Its space group is P-1, No. 2.


Compound: CaLaCrNiO6
Source: the Materials Project
Functional: PBE+U
Structure: relaxed

Structure (extended XYZ):
```
20
Lattice="5.4701 0.0000 0.0000 0.0000 5.5491 0.0000 -5.4655 0.0000 7.6504" Properties=species:S:1:pos:R:3 pbc="T T T"
Ca 0.0000 1.1272 0.0000
Ca -2.7328 4.4219 3.8252
La 0.1095 1.5904 3.8159
La -2.6233 3.9587 7.6411
Cr 2.8040 1.3806 1.9032
Cr 0.0712 4.1686 5.7284
Ni -2.6662 1.3881 5.7395
Ni 0.0666 4.1610 1.9143
O -2.2818 1.2721 3.7226
O -5.0146 4.2770 7.5478
O 2.3537 1.4843 0.1038
O -0.3791 4.0648 3.9290
O 1.2995 0.2492 2.2107
O -1.4333 5.2999 6.0358
O -1.0186 2.6112 6.0777
O 1.7142 2.9380 2.2525
O 1.1834 0.1555 5.4228
O 3.9162 5.3936 1.5976
O 4.3103 2.4853 1.5874
O 1.5776 3.0639 5.4126
```

Output
Its space group is Pc, No. 7.


Compound: CaLa2CrO6
Source: the Materials Project
Functional: PBE+U
Structure: relaxed

Structure (extended XYZ):
```
10
Lattice="2.9349 1.6945 4.5778 -2.9349 1.6945 4.5778 0.0000 -3.3890 4.5778" Properties=species:S:1:pos:R:3 pbc="T T T"
Ca 0.0000 0.0000 0.0000
La 0.0000 0.0000 3.5617
La 0.0000 0.0000 10.1718
Cr 0.0000 0.0000 6.8667
O -0.5684 -1.5070 5.7389
O -1.5893 -0.2613 7.9946
O -1.0209 1.2457 5.7389
O 1.0209 -1.2457 7.9946
O 1.5893 0.2613 5.7389
O 0.5684 1.5070 7.9946
```

Output
Its space group is R-3, No. 148.


Compound: CaLaCrSbO6
Source: the Materials Project
Functional: PBE+U
Structure: relaxed

Structure (extended XYZ):
```
20
Lattice="5.7156 0.0000 0.0000 -0.4935 5.8982 0.0000 -0.0004 -0.0367 7.8511" Properties=species:S:1:pos:R:3 pbc="T T T"
Ca 0.0000 0.0000 0.0000
Ca 2.5410 2.2922 3.9273
La 2.6852 2.9640 0.0095
La 5.2390 5.2485 3.9131
Cr 2.3498 5.5768 5.8964
Cr 5.4856 2.6003 1.9803
Sb 2.3546 5.6091 1.9602
Sb 5.4773 2.5948 5.8939
O 0.3453 2.3349 7.8270
O 0.8528 0.9805 5.4522
O 1.1694 0.7253 2.3267
O 1.4031 3.7235 5.5128
O 1.4285 3.8333 2.3754
O 1.8017 5.3740 0.0314
O 2.8911 5.8186 3.9035
O 3.7623 1.4861 1.6031
O 3.8361 1.4789 6.2811
O 4.0429 4.6056 1.5877
O 4.3955 4.2263 6.3525
O 4.8572 2.8429 3.9690
```

Output
For the relative energy among the computed polymorphs, the calculation gives 0.000 eV/atom. Its space group is P1, No. 1.


For each record above, in turn, the calculated raw total energy values are -8.494, -5.236, -6.113, -5.944, -5.924, -7.374, -7.017, -8.300, -6.266, -7.652, -7.009, -7.263, -6.885, -7.731, -7.217 eV/atom.